CsVH12C4O14: optimized geometry, GGA+U.

The value obtained for the total energy is -777.30 eV for the cell shown. The formation energy comes out at -1524 meV per atom. Its space-group type is P-1. For the energy above the lowest structure with this stoichiometry, the calculation gives 0.000 eV per atom.

a = 6.0287 Å, b = 10.6179 Å, c = 23.4907 Å
α = 97.36°, β = 91.47°, γ = 99.60°
Fractional coordinates of all 128 atoms:
1 Cs 0.0000 0.0000 0.0000
2 Cs 0.2501 0.0000 0.2500
3 Cs 0.5000 0.0000 0.5000
4 Cs 0.7499 0.0000 0.7500
5 V 0.1246 0.5001 0.6246
6 V 0.3747 0.5002 0.8749
7 V 0.6253 0.4998 0.1251
8 V 0.8754 0.4999 0.3754
9 H 0.0017 0.8188 0.8430
10 H 0.0116 0.4778 0.8022
11 H 0.0656 0.6473 0.9705
12 H 0.0882 0.1811 0.4604
13 H 0.0938 0.3528 0.9763
14 H 0.1168 0.6384 0.8233
15 H 0.1333 0.3616 0.4267
16 H 0.1564 0.6473 0.2738
17 H 0.1618 0.8189 0.7896
18 H 0.1844 0.3527 0.2796
19 H 0.2387 0.5222 0.4477
20 H 0.2484 0.1812 0.4070
21 H 0.2517 0.8186 0.0930
22 H 0.2625 0.4777 0.0525
23 H 0.3158 0.6473 0.2206
24 H 0.3381 0.1813 0.7103
25 H 0.3439 0.3527 0.2264
26 H 0.3678 0.6381 0.0735
27 H 0.3820 0.3619 0.6764
28 H 0.4064 0.6475 0.5237
29 H 0.4118 0.8187 0.0396
30 H 0.4340 0.3526 0.5294
31 H 0.4873 0.5223 0.6974
32 H 0.4983 0.1814 0.6570
33 H 0.5017 0.8186 0.3430
34 H 0.5127 0.4777 0.3026
35 H 0.5660 0.6474 0.4706
36 H 0.5882 0.1813 0.9604
37 H 0.5936 0.3525 0.4763
38 H 0.6180 0.6381 0.3236
39 H 0.6322 0.3619 0.9265
40 H 0.6561 0.6473 0.7736
41 H 0.6619 0.8187 0.2897
42 H 0.6842 0.3527 0.7794
43 H 0.7375 0.5223 0.9475
44 H 0.7483 0.1814 0.9070
45 H 0.7516 0.8188 0.5930
46 H 0.7613 0.4778 0.5523
47 H 0.8156 0.6473 0.7204
48 H 0.8382 0.1811 0.2104
49 H 0.8436 0.3527 0.7262
50 H 0.8667 0.6384 0.5733
51 H 0.8832 0.3616 0.1767
52 H 0.9062 0.6472 0.0237
53 H 0.9118 0.8189 0.5396
54 H 0.9344 0.3527 0.0295
55 H 0.9884 0.5222 0.1978
56 H 0.9983 0.1812 0.1570
57 C 0.0326 0.2421 0.5650
58 C 0.1229 0.7576 0.3831
59 C 0.1270 0.2425 0.8669
60 C 0.2172 0.7579 0.6848
61 C 0.2826 0.2424 0.8151
62 C 0.3728 0.7579 0.6330
63 C 0.3772 0.2421 0.1170
64 C 0.4673 0.7579 0.9348
65 C 0.5327 0.2421 0.0652
66 C 0.6228 0.7579 0.8830
67 C 0.6272 0.2421 0.3670
68 C 0.7174 0.7576 0.1849
69 C 0.7828 0.2421 0.3152
70 C 0.8730 0.7575 0.1331
71 C 0.8771 0.2424 0.6169
72 C 0.9674 0.7579 0.4350
73 O 0.0107 0.8555 0.1271
74 O 0.0204 0.1440 0.5292
75 O 0.0828 0.6494 0.6864
76 O 0.0920 0.3541 0.0185
77 O 0.0959 0.6489 0.3492
78 O 0.1142 0.2135 0.4228
79 O 0.1200 0.4560 0.4242
80 O 0.1300 0.5440 0.8259
81 O 0.1359 0.7865 0.8271
82 O 0.1540 0.3511 0.9009
83 O 0.1582 0.6459 0.2316
84 O 0.1666 0.3507 0.5632
85 O 0.2296 0.8558 0.7208
86 O 0.2390 0.1442 0.1228
87 O 0.2606 0.8556 0.3771
88 O 0.2704 0.1443 0.7792
89 O 0.3328 0.6494 0.9365
90 O 0.3421 0.3541 0.2686
91 O 0.3455 0.6495 0.5989
92 O 0.3640 0.2136 0.6728
93 O 0.3689 0.4563 0.6737
94 O 0.3809 0.5437 0.0761
95 O 0.3860 0.7864 0.0772
96 O 0.4045 0.3506 0.1510
97 O 0.4083 0.6459 0.4815
98 O 0.4167 0.3509 0.8133
99 O 0.4798 0.8558 0.9708
100 O 0.4891 0.1442 0.3729
101 O 0.5109 0.8558 0.6271
102 O 0.5202 0.1442 0.0292
103 O 0.5833 0.6491 0.1867
104 O 0.5917 0.3541 0.5185
105 O 0.5955 0.6494 0.8490
106 O 0.6140 0.2136 0.9228
107 O 0.6191 0.4563 0.9239
108 O 0.6311 0.5437 0.3263
109 O 0.6360 0.7864 0.3272
110 O 0.6545 0.3505 0.4011
111 O 0.6579 0.6459 0.7314
112 O 0.6672 0.3506 0.0635
113 O 0.7296 0.8557 0.2208
114 O 0.7394 0.1444 0.6229
115 O 0.7610 0.8558 0.8772
116 O 0.7704 0.1442 0.2792
117 O 0.8334 0.6493 0.4368
118 O 0.8418 0.3541 0.7684
119 O 0.8460 0.6489 0.0991
120 O 0.8641 0.2135 0.1729
121 O 0.8700 0.4560 0.1741
122 O 0.8800 0.5440 0.5758
123 O 0.8858 0.7865 0.5772
124 O 0.9041 0.3511 0.6508
125 O 0.9080 0.6459 0.9815
126 O 0.9172 0.3506 0.3136
127 O 0.9796 0.8560 0.4708
128 O 0.9893 0.1445 0.8729

=====

Cs6Mo4C10S2O27: optimized geometry, GGA+U.

The value obtained for the total energy is -665.61 eV for the cell shown. The formation energy comes out at -1679 meV per atom. Its space-group type is Cmc2_1.

a = 12.4124 Å, b = 12.4124 Å, c = 13.2237 Å
α = 90.00°, β = 90.00°, γ = 110.90°
Fractional coordinates of all 98 atoms:
1 Cs 0.0179 0.9821 0.5000
2 Cs 0.1452 0.8548 0.2381
3 Cs 0.1682 0.4364 0.4770
4 Cs 0.1829 0.4447 0.9438
5 Cs 0.4364 0.1682 0.9770
6 Cs 0.4447 0.1829 0.4438
7 Cs 0.5553 0.8171 0.9438
8 Cs 0.5636 0.8318 0.4770
9 Cs 0.8171 0.5553 0.4438
10 Cs 0.8318 0.5636 0.9770
11 Cs 0.8548 0.1452 0.7381
12 Cs 0.9821 0.0179 0.0000
13 Mo 0.0867 0.7168 0.6791
14 Mo 0.2832 0.9133 0.6791
15 Mo 0.3601 0.4483 0.2066
16 Mo 0.4483 0.3601 0.7066
17 Mo 0.5517 0.6399 0.2066
18 Mo 0.6399 0.5517 0.7066
19 Mo 0.7168 0.0867 0.1791
20 Mo 0.9133 0.2832 0.1791
21 C 0.0285 0.5157 0.2661
22 C 0.0341 0.5343 0.1501
23 C 0.1980 0.2402 0.6617
24 C 0.2066 0.2328 0.7786
25 C 0.2328 0.2066 0.2786
26 C 0.2402 0.1980 0.1617
27 C 0.3264 0.6736 0.7035
28 C 0.4020 0.5980 0.7181
29 C 0.4657 0.9659 0.1501
30 C 0.4843 0.9715 0.2661
31 C 0.5157 0.0285 0.7661
32 C 0.5343 0.0341 0.6501
33 C 0.5980 0.4020 0.2181
34 C 0.6736 0.3264 0.2035
35 C 0.7598 0.8020 0.6617
36 C 0.7672 0.7934 0.7786
37 C 0.7934 0.7672 0.2786
38 C 0.8020 0.7598 0.1617
39 C 0.9659 0.4657 0.6501
40 C 0.9715 0.4843 0.7661
41 S 0.2019 0.7981 0.5360
42 S 0.4709 0.5291 0.0629
43 S 0.5291 0.4709 0.5629
44 S 0.7981 0.2019 0.0360
45 O 0.0089 0.5619 0.5980
46 O 0.0130 0.5926 0.7934
47 O 0.0220 0.2277 0.1661
48 O 0.0597 0.5980 0.3257
49 O 0.0724 0.6310 0.1117
50 O 0.1027 0.2068 0.6186
51 O 0.1187 0.1892 0.8309
52 O 0.1853 0.8147 0.7825
53 O 0.1892 0.1187 0.3309
54 O 0.2068 0.1027 0.1186
55 O 0.2184 0.6204 0.6964
56 O 0.2277 0.0220 0.6661
57 O 0.2459 0.4965 0.1982
58 O 0.2791 0.3110 0.3145
59 O 0.2867 0.2960 0.1154
60 O 0.2932 0.7068 0.9435
61 O 0.2960 0.2867 0.6154
62 O 0.3110 0.2791 0.8145
63 O 0.3492 0.4898 0.7214
64 O 0.3690 0.9276 0.1117
65 O 0.3796 0.7816 0.6964
66 O 0.4020 0.9403 0.3257
67 O 0.4074 0.9870 0.7934
68 O 0.4381 0.9911 0.5980
69 O 0.4559 0.5441 0.3157
70 O 0.4898 0.3492 0.2214
71 O 0.4965 0.2459 0.6982
72 O 0.5035 0.7541 0.1982
73 O 0.5102 0.6508 0.7214
74 O 0.5441 0.4559 0.8157
75 O 0.5619 0.0089 0.0980
76 O 0.5926 0.0130 0.2934
77 O 0.5980 0.0597 0.8257
78 O 0.6204 0.2184 0.1964
79 O 0.6310 0.0724 0.6117
80 O 0.6508 0.5102 0.2214
81 O 0.6890 0.7209 0.3145
82 O 0.7040 0.7133 0.1154
83 O 0.7068 0.2932 0.4435
84 O 0.7133 0.7040 0.6154
85 O 0.7209 0.6890 0.8145
86 O 0.7541 0.5035 0.6982
87 O 0.7723 0.9780 0.1661
88 O 0.7816 0.3796 0.1964
89 O 0.7932 0.8973 0.6186
90 O 0.8108 0.8813 0.8309
91 O 0.8147 0.1853 0.2825
92 O 0.8813 0.8108 0.3309
93 O 0.8973 0.7932 0.1186
94 O 0.9276 0.3690 0.6117
95 O 0.9403 0.4020 0.8257
96 O 0.9780 0.7723 0.6661
97 O 0.9870 0.4074 0.2934
98 O 0.9911 0.4381 0.0980